The following is a PBE+U calculation of a relaxed structure of NiRuO3, from the Materials Project database.

```
NiRuO3
1.0
-0.4913 0.8842 -3.5774
3.0750 -1.8905 -0.8895
-2.0307 -3.0766 -0.4815
Ni O Ru
1 3 1
Direct
0.0000 0.0000 0.0000 Ni
0.0000 0.0000 0.5000 O
0.5000 0.0000 0.0000 O
0.0000 0.5000 0.0000 O
0.5000 0.5000 0.5000 Ru
```

Computed properties:
- formation energy (eV per atom) = -0.161
- E (eV/atom) = -5.220

The following is a PBE+U calculation of a relaxed structure of NaLi7Fe8Si16O48, from the Materials Project database.

```
NaLi7Fe8Si16O48
1.0
-2.1617 -4.8852 -0.4331
8.0673 -4.9712 -8.7427
7.1658 -6.1243 8.8060
O Si Fe Na Li
48 16 8 1 7
Direct
0.0417 0.0703 0.8263 O
0.1899 0.8024 0.3089 O
0.7795 0.7652 0.6018 O
0.7074 0.5622 0.5569 O
0.2887 0.2647 0.6013 O
0.2928 0.9377 0.9446 O
0.0444 0.5673 0.3252 O
0.7848 0.8500 0.0140 O
0.9588 0.4293 0.6750 O
0.2228 0.2361 0.3994 O
0.2901 0.1937 0.1876 O
0.7820 0.2643 0.1011 O
0.2810 0.3509 0.0146 O
0.7125 0.2349 0.8994 O
0.5666 0.0770 0.3224 O
0.9370 0.9305 0.6765 O
0.2954 0.4376 0.4454 O
0.4592 0.4234 0.6807 O
0.2759 0.8479 0.5195 O
0.7176 0.3068 0.3125 O
0.7174 0.7308 0.4020 O
0.4468 0.9242 0.1760 O
0.2155 0.0614 0.5565 O
0.0603 0.5691 0.8278 O
0.8032 0.9408 0.4484 O
0.2136 0.6488 0.4840 O
0.2122 0.1493 0.9851 O
0.0681 0.0713 0.3262 O
0.4377 0.9238 0.6811 O
0.5438 0.5749 0.3196 O
0.7827 0.4368 0.9436 O
0.2837 0.7647 0.0983 O
0.2179 0.7348 0.8984 O
0.9469 0.9294 0.1737 O
0.9397 0.4296 0.1728 O
0.7148 0.8058 0.8129 O
0.5599 0.5761 0.8208 O
0.7227 0.1516 0.4855 O
0.2163 0.5623 0.0570 O
0.7892 0.3510 0.5158 O
0.4401 0.4228 0.1796 O
0.7939 0.6947 0.1887 O
0.2074 0.3050 0.8128 O
0.7939 0.1943 0.6880 O
0.7034 0.0623 0.0540 O
0.5413 0.0762 0.8203 O
0.2826 0.6913 0.6874 O
0.7181 0.6482 0.9858 O
0.7149 0.8534 0.6934 Si
0.7244 0.4426 0.6041 Si
0.7162 0.9425 0.1007 Si
0.7793 0.6454 0.3081 Si
0.7762 0.1467 0.8076 Si
0.7173 0.3529 0.1926 Si
0.7931 0.0593 0.3987 Si
0.2128 0.8519 0.1902 Si
0.2782 0.5569 0.3963 Si
0.7826 0.5566 0.8973 Si
0.2762 0.0574 0.8969 Si
0.2245 0.3529 0.6932 Si
0.2134 0.9419 0.6049 Si
0.2171 0.4424 0.1031 Si
0.2826 0.6459 0.8073 Si
0.2900 0.1486 0.3075 Si
0.4968 0.6990 0.5511 Fe
0.0009 0.6978 0.0509 Fe
0.4973 0.1996 0.0503 Fe
0.9971 0.3010 0.9488 Fe
0.0058 0.1991 0.5523 Fe
0.9971 0.7998 0.4499 Fe
0.5010 0.8004 0.9480 Fe
0.5060 0.3020 0.4494 Fe
0.4950 0.8969 0.3561 Na
0.5005 0.6233 0.1273 Li
0.0014 0.8760 0.8726 Li
0.4982 0.3767 0.8730 Li
0.0027 0.3777 0.3741 Li
0.5034 0.1228 0.6270 Li
0.9987 0.1236 0.1259 Li
0.9981 0.6237 0.6261 Li
```

Computed properties:
- formation energy (eV per atom) = -2.751
- E (eV/atom) = -7.198

The following is a PBE+U calculation of a relaxed structure of Li2Ti3FeO8, from the Materials Project database.

```
Li2Ti3FeO8
1.0
5.0715 -2.9925 0.0000
5.0715 2.9925 0.0000
3.3057 0.0000 4.8732
Ti Fe O Li
3 1 8 2
Direct
0.5000 0.0000 0.5000 Ti
0.0000 0.5000 0.5000 Ti
0.5000 0.5000 0.0000 Ti
0.5000 0.5000 0.5000 Fe
0.2564 0.7112 0.2564 O
0.7112 0.2564 0.2564 O
0.2564 0.2564 0.7112 O
0.2597 0.2597 0.2597 O
0.7436 0.7436 0.2888 O
0.7436 0.2888 0.7436 O
0.7403 0.7403 0.7403 O
0.2888 0.7436 0.7436 O
0.1204 0.1204 0.1204 Li
0.8796 0.8796 0.8796 Li
```

Computed properties:
- formation energy (eV per atom) = -2.934
- E (eV/atom) = -7.778
- E above lowest polymorph (meV per atom) = 66

The following is a PBE+U calculation of a relaxed structure of Li9Mn2Co5O16, from the Materials Project database.

```
Li9Mn2Co5O16
1.0
-3.8884 -1.9907 -2.5367
-0.3854 -1.3541 4.9005
-5.9559 9.8561 2.0654
O Co Li Mn
16 5 9 2
Direct
0.7416 0.2218 0.3684 O
0.7461 0.2303 0.6182 O
0.7495 0.7710 0.7547 O
0.2505 0.2290 0.2453 O
0.2539 0.7697 0.3818 O
0.2545 0.7825 0.1348 O
0.2584 0.7782 0.6316 O
0.7650 0.7852 0.2410 O
0.7455 0.2175 0.8652 O
0.2288 0.7634 0.8749 O
0.2187 0.2258 0.0013 O
0.7813 0.7742 0.9987 O
0.7712 0.2366 0.1251 O
0.2409 0.2352 0.5013 O
0.2350 0.2148 0.7590 O
0.7591 0.7648 0.4987 O
0.5056 0.0080 0.2439 Co
0.0046 0.0012 0.3754 Co
0.9954 0.9988 0.6246 Co
0.4944 0.9920 0.7561 Co
0.5000 0.0000 0.5000 Co
0.9960 0.4968 0.7524 Li
0.5035 0.4974 0.1220 Li
0.0000 0.5000 0.0000 Li
0.4965 0.5026 0.8780 Li
0.0040 0.5032 0.2476 Li
0.0000 0.5000 0.5000 Li
0.5014 0.5011 0.6243 Li
0.5000 0.0000 0.0000 Li
0.4986 0.4989 0.3757 Li
0.9978 0.9928 0.8779 Mn
0.0022 0.0072 0.1221 Mn
```

Computed properties:
- formation energy (eV per atom) = -1.834
- E (eV/atom) = -5.824
- E above lowest polymorph (meV per atom) = 30

The following is a PBE+U calculation of a relaxed structure of YCrW2O8, from the Materials Project database.

```
YCrW2O8
1.0
-0.1130 -4.7539 -1.9296
10.3713 -2.9034 2.0083
-1.0331 -4.1147 4.3973
W Y O Cr
4 2 16 2
Direct
0.7705 0.5299 0.0897 W
0.2949 0.6977 0.8875 W
0.7704 0.0299 0.5898 W
0.2948 0.1977 0.3876 W
0.5124 0.8526 0.2526 Y
0.5123 0.3525 0.7526 Y
0.7945 0.4874 0.3875 O
0.2623 0.2316 0.0700 O
0.7279 0.8844 0.5010 O
0.3781 0.6035 0.1908 O
0.3019 0.3467 0.4882 O
0.6890 0.6182 0.7754 O
0.3781 0.1035 0.6910 O
0.1683 0.0200 0.3887 O
0.3020 0.8467 0.9882 O
0.1684 0.5200 0.8886 O
0.6888 0.1182 0.2755 O
0.8678 0.7058 0.0888 O
0.7279 0.3844 0.0010 O
0.8678 0.2058 0.5889 O
0.7945 0.9873 0.8876 O
0.2623 0.7316 0.5700 O
0.0324 0.1116 0.9864 Cr
0.0325 0.6116 0.4863 Cr
```

Computed properties:
- formation energy (eV per atom) = -2.511
- E (eV/atom) = -7.948
- largest piezoelectric modulus (C/m2) = 1.44
- E above lowest polymorph (meV per atom) = 50

The following is a PBE+U calculation of a relaxed structure of Li5Mn2P2C2O14, from the Materials Project database.

```
Li5Mn2P2C2O14
1.0
6.4361 0.0000 0.0000
0.0000 8.5127 0.0000
0.0000 0.6979 10.0847
P O Li Mn C
4 28 10 4 4
Direct
0.2500 0.4147 0.1103 P
0.7500 0.5853 0.8897 P
0.2500 0.4177 0.6121 P
0.7500 0.5823 0.3879 P
0.7500 0.1594 0.5188 O
0.7500 0.8985 0.5804 O
0.9360 0.6878 0.8363 O
0.2500 0.5899 0.6559 O
0.0594 0.3257 0.6694 O
0.7500 0.4184 0.8383 O
0.9406 0.6743 0.3306 O
0.7500 0.0798 0.7332 O
0.2500 0.8406 0.4812 O
0.5640 0.6878 0.8363 O
0.7500 0.8964 0.0656 O
0.2500 0.4313 0.9562 O
0.2500 0.8439 0.9939 O
0.7500 0.4101 0.3441 O
0.4360 0.3122 0.1637 O
0.2500 0.9202 0.2668 O
0.7500 0.5687 0.0438 O
0.7500 0.5744 0.5423 O
0.2500 0.4256 0.4577 O
0.7500 0.1561 0.0061 O
0.2500 0.9236 0.7784 O
0.4406 0.3257 0.6694 O
0.2500 0.1015 0.4196 O
0.2500 0.1036 0.9344 O
0.2500 0.5816 0.1617 O
0.0640 0.3122 0.1637 O
0.5594 0.6743 0.3306 O
0.7500 0.0764 0.2216 O
0.7500 0.9050 0.8659 Li
0.5169 0.7460 0.6134 Li
0.0169 0.2540 0.3866 Li
0.0231 0.2584 0.8698 Li
0.4831 0.2540 0.3866 Li
0.2500 0.0950 0.1341 Li
0.9769 0.7416 0.1302 Li
0.9831 0.7460 0.6134 Li
0.4769 0.2584 0.8698 Li
0.5231 0.7416 0.1302 Li
0.2500 0.6642 0.8537 Mn
0.7500 0.3358 0.1463 Mn
0.7500 0.3424 0.6449 Mn
0.2500 0.6576 0.3551 Mn
0.2500 0.9592 0.8983 C
0.7500 0.0414 0.6115 C
0.2500 0.9586 0.3885 C
0.7500 0.0408 0.1017 C
```

Computed properties:
- formation energy (eV per atom) = -2.368
- E (eV/atom) = -6.906
- E above lowest polymorph (meV per atom) = 11